No. 1
Rb3YF6: optimized geometry, PBE.

Cell: 9.7287 9.7287 9.7287 Å, 90.00 90.00 90.00°
Space group Fm-3m (No. 225)
Unique sites:
Rb 0.0000 0.0000 0.0000 (multiplicity 4)
Rb 0.2500 0.2500 0.2500 (multiplicity 8)
Y 0.0000 0.0000 0.5000 (multiplicity 4)
F 0.0000 0.0000 0.2752 (multiplicity 24)

Summary:
* calculated volume: 23.02 Å³ per atom
* ΔH_f (0 K): -3.52 eV/atom
* calculated total energy: -53.35 eV per formula unit

---

No. 2
RbZnF3: optimized geometry, PBE.

Cell: 6.0155 6.0155 14.7193 Å, 90.00 90.00 120.00°
Space group P6_3/mmc (No. 194)
Unique sites:
Rb 0.0000 0.0000 0.2500 (multiplicity 2)
Rb 0.3333 0.6667 0.0964 (multiplicity 4)
Zn 0.0000 0.0000 0.0000 (multiplicity 2)
Zn 0.3333 0.6667 0.6536 (multiplicity 4)
F 0.0349 0.5174 0.7500 (multiplicity 6)
F 0.1655 0.3310 0.5800 (multiplicity 12)

Summary:
* calculated volume: 15.38 Å³ per atom
* ΔH_f (0 K): -2.79 eV/atom
* calculated total energy: -20.57 eV per formula unit

---

No. 3
ReF6: optimized geometry, PBE.

Cell: 6.4443 6.4443 6.4443 Å, 90.00 90.00 90.00°
Space group Im-3m (No. 229)
Unique sites:
Re 0.0000 0.0000 0.0000 (multiplicity 2)
F 0.0000 0.0000 0.2895 (multiplicity 12)

Summary:
* calculated volume: 19.12 Å³ per atom
* ΔH_f (0 K): -2.48 eV/atom
* calculated total energy: -38.49 eV per formula unit

---

No. 4
ReF6: optimized geometry, PBE.

Cell: 9.4849 8.6870 5.0166 Å, 90.00 90.00 90.00°
Space group Pnma (No. 62)
Unique sites:
Re 0.1294 0.2500 0.0805 (multiplicity 4)
F 0.0150 0.2500 0.7782 (multiplicity 4)
F 0.0167 0.0982 0.2353 (multiplicity 8)
F 0.2418 0.0977 0.9272 (multiplicity 8)
F 0.2444 0.2500 0.3828 (multiplicity 4)

Summary:
* calculated volume: 14.76 Å³ per atom
* ΔH_f (0 K): -2.47 eV/atom
* calculated total energy: -38.48 eV per formula unit

---

No. 5
RhF3: optimized geometry, PBE.

Cell: 5.0108 5.0108 13.8386 Å, 90.00 90.00 120.00°
Space group R-3c (No. 167, hexagonal axes)
Unique sites:
Rh 0.0000 0.0000 0.0000 (multiplicity 6)
F 0.0000 0.3403 0.2500 (multiplicity 18)

Summary:
* calculated volume: 12.54 Å³ per atom
* ΔH_f (0 K): -1.83 eV/atom
* calculated total energy: -19.06 eV per formula unit

---

No. 6
Rh3F: optimized geometry, PBE.

Cell: 4.1064 4.1064 6.4395 Å, 90.00 90.00 90.00°
Space group I4/mmm (No. 139)
Unique sites:
Rh 0.0000 0.0000 0.0000 (multiplicity 2)
Rh 0.0000 0.5000 0.2500 (multiplicity 4)
F 0.0000 0.0000 0.5000 (multiplicity 2)

Summary:
* calculated volume: 13.57 Å³ per atom
* ΔH_f (0 K): 0.11 eV/atom
* calculated total energy: -23.12 eV per formula unit

---

No. 7
RhF6: optimized geometry, PBE.

Cell: 6.4544 6.4544 6.4544 Å, 90.00 90.00 90.00°
Space group Im-3m (No. 229)
Unique sites:
Rh 0.0000 0.0000 0.0000 (multiplicity 2)
F 0.0000 0.0000 0.2899 (multiplicity 12)

Summary:
* calculated volume: 19.21 Å³ per atom
* ΔH_f (0 K): -1.61 eV/atom
* calculated total energy: -27.32 eV per formula unit

---

No. 8
RhF3: optimized geometry, PBE.

Cell: 5.0144 5.0144 7.3199 Å, 90.00 90.00 120.00°
Space group P321 (No. 150)
Unique sites:
Rh 0.0000 0.0000 0.0000 (multiplicity 1)
Rh 0.3333 0.6667 0.6606 (multiplicity 2)
F 0.0000 0.3469 0.5000 (multiplicity 3)
F 0.0358 0.7019 0.8218 (multiplicity 6)

Summary:
* calculated volume: 13.28 Å³ per atom
* ΔH_f (0 K): -1.73 eV/atom
* calculated total energy: -18.64 eV per formula unit

---

No. 9
RhF6: optimized geometry, PBE.

Cell: 9.4520 8.6372 5.0048 Å, 90.00 90.00 90.00°
Space group Pnma (No. 62)
Unique sites:
Rh 0.1291 0.2500 0.0807 (multiplicity 4)
F 0.0132 0.2500 0.7771 (multiplicity 4)
F 0.0158 0.0968 0.2376 (multiplicity 8)
F 0.2433 0.0967 0.9263 (multiplicity 8)
F 0.2455 0.2500 0.3852 (multiplicity 4)

Summary:
* calculated volume: 14.59 Å³ per atom
* ΔH_f (0 K): -1.60 eV/atom
* calculated total energy: -27.28 eV per formula unit

---

No. 10
RhF5: optimized geometry, PBE.

Cell: 5.6926 10.1419 12.6404 Å, 90.00 101.10 90.00°
Space group P2_1/c (No. 14)
Unique sites:
Rh 0.0048 0.2492 0.4962 (multiplicity 4)
Rh 0.3002 0.0012 0.1995 (multiplicity 4)
F 0.0235 0.5633 0.7390 (multiplicity 4)
F 0.0928 0.6698 0.1384 (multiplicity 4)
F 0.1101 0.1655 0.1441 (multiplicity 4)
F 0.1853 0.1007 0.5465 (multiplicity 4)
F 0.1917 0.5867 0.5530 (multiplicity 4)
F 0.2606 0.6863 0.9538 (multiplicity 4)
F 0.2650 0.1699 0.9534 (multiplicity 4)
F 0.3967 0.0867 0.3316 (multiplicity 4)
F 0.4434 0.5695 0.3548 (multiplicity 4)
F 0.4749 0.6484 0.7523 (multiplicity 4)

Summary:
* calculated volume: 14.92 Å³ per atom
* ΔH_f (0 K): -1.68 eV/atom
* calculated total energy: -24.70 eV per formula unit

---

No. 11
RhF6: optimized geometry, PBE.

Cell: 5.5380 9.4834 13.1459 Å, 90.00 96.99 90.00°
Space group C2/c (No. 15)
Unique sites:
Rh 0.2500 0.2500 0.0000 (multiplicity 4)
F 0.0636 0.2070 0.5612 (multiplicity 8)
F 0.1267 0.3856 0.2687 (multiplicity 8)
F 0.1884 0.1565 0.1188 (multiplicity 8)

Summary:
* calculated volume: 24.47 Å³ per atom
* ΔH_f (0 K): -1.21 eV/atom
* calculated total energy: -24.55 eV per formula unit

---

No. 12
RhF3: optimized geometry, PBE.

Cell: 9.5440 5.7996 5.6139 Å, 90.00 117.21 90.00°
Space group C2/c (No. 15)
Unique sites:
Rh 0.0000 0.0000 0.0000 (multiplicity 4)
F 0.0000 0.2511 0.2500 (multiplicity 4)
F 0.2198 0.9999 0.1695 (multiplicity 8)

Summary:
* calculated volume: 17.27 Å³ per atom
* ΔH_f (0 K): -1.48 eV/atom
* calculated total energy: -17.63 eV per formula unit